[1]
# Li4Ti3Fe2Co3O16

A relaxed Li4Ti3Fe2Co3O16 crystal (GGA+U, the Materials Project database).

```
data_Li4Ti3Fe2Co3O16
_chemical_formula_sum 'Li4 Ti3 Fe2 Co3 O16'
_space_group_name_H-M_alt 'P 1'
_space_group_IT_number 1
_cell_length_a 5.7533
_cell_length_b 5.7761
_cell_length_c 9.5307
_cell_angle_alpha 89.77
_cell_angle_beta 89.86
_cell_angle_gamma 60.76
loop_
_space_group_symop_operation_xyz
'x,y,z'
loop_
_atom_site_label
_atom_site_type_symbol
_atom_site_fract_x
_atom_site_fract_y
_atom_site_fract_z
Li1 Li 0.0000 0.0000 0.0000
Li2 Li 0.0021 0.0079 0.5032
Li3 Li 0.3237 0.3257 0.6084
Li4 Li 0.6555 0.6614 0.1016
Ti1 Ti 0.1575 0.6565 0.2824
Ti2 Ti 0.6506 0.1638 0.2830
Ti3 Ti 0.8185 0.8250 0.7804
Fe1 Fe 0.3207 0.3355 0.0042
Fe2 Fe 0.6519 0.6621 0.5079
Co1 Co 0.1634 0.1696 0.2849
Co2 Co 0.3313 0.8274 0.7849
Co3 Co 0.8233 0.3348 0.7858
O1 O 0.0259 0.4774 0.1598
O2 O 0.1466 0.1653 0.8879
O3 O 0.1518 0.6738 0.8968
O4 O 0.3167 0.8356 0.3945
O5 O 0.3270 0.3341 0.3976
O6 O 0.4721 0.0324 0.1587
O7 O 0.4741 0.4788 0.1626
O8 O 0.5090 0.9599 0.6600
O9 O 0.5136 0.5115 0.6722
O10 O 0.6557 0.6603 0.8935
O11 O 0.6698 0.1643 0.8947
O12 O 0.8284 0.8339 0.3986
O13 O 0.8295 0.3229 0.3950
O14 O 0.9553 0.5073 0.6630
O15 O 0.9954 0.0023 0.6892
O16 O 0.9962 0.0014 0.1874
```

Values from the calculation:
- DFT formation energy: -2.273 eV/atom
- Space group: P1 (1)
- M_tot: 0.393 μB per atom
- Theoretical density: 4.30 g/cm³
- Crystal system: triclinic

[2]
# Li4Ti2Fe4Co3O18

A relaxed Li4Ti2Fe4Co3O18 crystal (GGA+U, the Materials Project database).

```
data_Li4Ti2Fe4Co3O18
_chemical_formula_sum 'Li8 Ti4 Fe8 Co6 O36'
_space_group_name_H-M_alt 'P 1'
_space_group_IT_number 1
_cell_length_a 2.9122
_cell_length_b 8.7964
_cell_length_c 25.3264
_cell_angle_alpha 89.90
_cell_angle_beta 89.92
_cell_angle_gamma 89.99
loop_
_space_group_symop_operation_xyz
'x,y,z'
loop_
_atom_site_label
_atom_site_type_symbol
_atom_site_fract_x
_atom_site_fract_y
_atom_site_fract_z
Li1 Li 0.0000 0.0000 0.0000
Li2 Li 0.9998 0.0054 0.2208
Li3 Li 0.9998 0.1150 0.7199
Li4 Li 0.9999 0.1215 0.5002
Li5 Li 0.9998 0.4996 0.9126
Li6 Li 0.0000 0.5070 0.6926
Li7 Li 0.9999 0.6165 0.1936
Li8 Li 0.9998 0.6228 0.4120
Ti1 Ti 0.0000 0.3111 0.6021
Ti2 Ti 0.0004 0.8099 0.1017
Ti3 Ti 0.9996 0.8121 0.3114
Ti4 Ti 0.9985 0.3102 0.8110
Fe1 Fe 0.9998 0.2853 0.4020
Fe2 Fe 0.0000 0.7882 0.5108
Fe3 Fe 0.0000 0.8348 0.9024
Fe4 Fe 0.0011 0.3362 0.0114
Fe5 Fe 0.5001 0.1735 0.1185
Fe6 Fe 0.4997 0.4486 0.2945
Fe7 Fe 0.4996 0.6743 0.7947
Fe8 Fe 0.5001 0.9474 0.6184
Co1 Co 0.9999 0.3111 0.2064
Co2 Co 0.9998 0.8109 0.7067
Co3 Co 0.4980 0.1645 0.9023
Co4 Co 0.4989 0.9580 0.4019
Co5 Co 0.5001 0.4582 0.5109
Co6 Co 0.5025 0.6634 0.0111
O1 O 0.9999 0.0140 0.1202
O2 O 0.9998 0.1078 0.6203
O3 O 0.9997 0.3038 0.2788
O4 O 0.0001 0.3188 0.1340
O5 O 0.9999 0.4082 0.4665
O6 O 0.9999 0.5088 0.5558
O7 O 0.9996 0.5143 0.7928
O8 O 0.9999 0.6081 0.2926
O9 O 0.0000 0.8021 0.6341
O10 O 0.9997 0.8197 0.7790
O11 O 0.0009 0.9073 0.4460
O12 O 0.0019 0.2150 0.9468
O13 O 0.0030 0.6115 0.0563
O14 O 0.4994 0.2444 0.7675
O15 O 0.4993 0.3774 0.6455
O16 O 0.4994 0.8545 0.0456
O17 O 0.5000 0.1524 0.4310
O18 O 0.4998 0.1677 0.2008
O19 O 0.4998 0.2686 0.5459
O20 O 0.4997 0.3536 0.8670
O21 O 0.5001 0.4063 0.3710
O22 O 0.5000 0.4541 0.2122
O23 O 0.4997 0.4692 0.9823
O24 O 0.5001 0.6523 0.4830
O25 O 0.4999 0.6679 0.7124
O26 O 0.4998 0.7131 0.8712
O27 O 0.4997 0.7449 0.1454
O28 O 0.5000 0.7665 0.3675
O29 O 0.5003 0.8770 0.2677
O30 O 0.4998 0.9085 0.5418
O31 O 0.4998 0.9538 0.7007
O32 O 0.5003 0.9689 0.9305
O33 O 0.5006 0.2143 0.0420
O34 O 0.9967 0.1131 0.8573
O35 O 0.9971 0.7140 0.9671
O36 O 0.9989 0.0095 0.3566
```

Values from the calculation:
- DFT formation energy: -1.953 eV/atom
- Space group: P1 (1)
- M_tot: 0.710 μB per atom
- Theoretical density: 4.15 g/cm³
- Crystal system: triclinic

[3]
# Li10Ti2Fe3Co3O16

A relaxed Li10Ti2Fe3Co3O16 crystal (GGA+U, the Materials Project database).

```
data_Li10Ti2Fe3Co3O16
_chemical_formula_sum 'Li10 Ti2 Fe3 Co3 O16'
_space_group_name_H-M_alt 'P 1'
_space_group_IT_number 1
_cell_length_a 5.9863
_cell_length_b 5.9920
_cell_length_c 9.8716
_cell_angle_alpha 90.15
_cell_angle_beta 90.31
_cell_angle_gamma 119.68
loop_
_space_group_symop_operation_xyz
'x,y,z'
loop_
_atom_site_label
_atom_site_type_symbol
_atom_site_fract_x
_atom_site_fract_y
_atom_site_fract_z
Li1 Li 0.0000 0.0000 0.0000
Li2 Li 0.0040 0.5844 0.9999
Li3 Li 0.1371 0.8582 0.2153
Li4 Li 0.1993 0.3882 0.4998
Li5 Li 0.4091 0.9929 0.0033
Li6 Li 0.4769 0.5238 0.7162
Li7 Li 0.6113 0.7971 0.5014
Li8 Li 0.6197 0.3887 0.5026
Li9 Li 0.7996 0.1934 0.9353
Li10 Li 0.8077 0.1919 0.4322
Ti1 Ti 0.1578 0.8754 0.4765
Ti2 Ti 0.4905 0.5398 0.9796
Fe1 Fe 0.1498 0.3678 0.2323
Fe2 Fe 0.9770 0.0296 0.7350
Fe3 Fe 0.9865 0.5377 0.7320
Co1 Co 0.4674 0.0259 0.7365
Co2 Co 0.6394 0.8547 0.2365
Co3 Co 0.6413 0.3641 0.2363
O1 O 0.1374 0.8488 0.8540
O2 O 0.1390 0.3679 0.8615
O3 O 0.2936 0.6960 0.6065
O4 O 0.3005 0.1719 0.5998
O5 O 0.3083 0.6760 0.1082
O6 O 0.3093 0.2144 0.1066
O7 O 0.4621 0.0145 0.3706
O8 O 0.4687 0.5224 0.3524
O9 O 0.6247 0.8459 0.8737
O10 O 0.6340 0.3728 0.8669
O11 O 0.7857 0.6832 0.1019
O12 O 0.8057 0.2083 0.6251
O13 O 0.8123 0.1942 0.1272
O14 O 0.8318 0.7015 0.6081
O15 O 0.9878 0.0253 0.3656
O16 O 0.9884 0.5335 0.3626
```

Values from the calculation:
- DFT formation energy: -2.117 eV/atom
- Space group: P1 (1)
- M_tot: 0.676 μB per atom
- Theoretical density: 4.13 g/cm³
- Crystal system: triclinic

[4]
# Li4V2Fe3Co3O16

A relaxed Li4V2Fe3Co3O16 crystal (GGA+U, the Materials Project database).

```
data_Li4V2Fe3Co3O16
_chemical_formula_sum 'Li4 V2 Fe3 Co3 O16'
_space_group_name_H-M_alt 'P 1'
_space_group_IT_number 1
_cell_length_a 5.8261
_cell_length_b 5.8498
_cell_length_c 9.3866
_cell_angle_alpha 89.75
_cell_angle_beta 89.94
_cell_angle_gamma 60.25
loop_
_space_group_symop_operation_xyz
'x,y,z'
loop_
_atom_site_label
_atom_site_type_symbol
_atom_site_fract_x
_atom_site_fract_y
_atom_site_fract_z
Li1 Li 0.0000 0.0000 0.0000
Li2 Li 0.0027 0.9950 0.4976
Li3 Li 0.3277 0.3479 0.4025
Li4 Li 0.6584 0.6872 0.9064
V1 V 0.3288 0.3491 0.0026
V2 V 0.6605 0.6758 0.5010
Fe1 Fe 0.1653 0.1875 0.7248
Fe2 Fe 0.6515 0.1854 0.7236
Fe3 Fe 0.8235 0.3569 0.2256
Co1 Co 0.1685 0.6650 0.7193
Co2 Co 0.3385 0.8340 0.2203
Co3 Co 0.8224 0.8408 0.2196
O1 O 0.0012 0.0004 0.8087
O2 O 0.0058 0.0013 0.3060
O3 O 0.0349 0.5077 0.8491
O4 O 0.1549 0.2066 0.0884
O5 O 0.1666 0.6698 0.1031
O6 O 0.3270 0.3499 0.6109
O7 O 0.3441 0.8340 0.5967
O8 O 0.4621 0.5062 0.8494
O9 O 0.4729 0.0583 0.8579
O10 O 0.5180 0.9676 0.3424
O11 O 0.5237 0.5252 0.3601
O12 O 0.6493 0.6923 0.1169
O13 O 0.6502 0.1832 0.0970
O14 O 0.8259 0.8329 0.5970
O15 O 0.8278 0.3567 0.5915
O16 O 0.9532 0.5501 0.3470
```

Values from the calculation:
- DFT formation energy: -1.816 eV/atom
- Space group: P1 (1)
- M_tot: 0.894 μB per atom
- Theoretical density: 4.36 g/cm³
- Crystal system: triclinic

[5]
# Li4V2Fe3Co3O16

A relaxed Li4V2Fe3Co3O16 crystal (GGA+U, the Materials Project database).

```
data_Li4V2Fe3Co3O16
_chemical_formula_sum 'Li4 V2 Fe3 Co3 O16'
_space_group_name_H-M_alt 'P 1'
_space_group_IT_number 1
_cell_length_a 5.7706
_cell_length_b 5.7706
_cell_length_c 9.3910
_cell_angle_alpha 91.28
_cell_angle_beta 91.28
_cell_angle_gamma 59.75
loop_
_space_group_symop_operation_xyz
'x,y,z'
loop_
_atom_site_label
_atom_site_type_symbol
_atom_site_fract_x
_atom_site_fract_y
_atom_site_fract_z
Li1 Li 0.0000 0.0000 0.0000
Li2 Li 0.0014 0.0014 0.4989
Li3 Li 0.3416 0.3416 0.5928
Li4 Li 0.6727 0.6727 0.0987
V1 V 0.3401 0.3401 0.9926
V2 V 0.6741 0.6741 0.4891
Fe1 Fe 0.1836 0.1836 0.2697
Fe2 Fe 0.3618 0.8259 0.7722
Fe3 Fe 0.8259 0.3618 0.7722
Co1 Co 0.1747 0.6613 0.2789
Co2 Co 0.6613 0.1747 0.2789
Co3 Co 0.8320 0.8320 0.7786
O1 O 0.0019 0.0019 0.1922
O2 O 0.0023 0.0023 0.6949
O3 O 0.0459 0.4986 0.1476
O4 O 0.1742 0.6580 0.8989
O5 O 0.1785 0.1785 0.9085
O6 O 0.3435 0.3435 0.3849
O7 O 0.3513 0.8300 0.4015
O8 O 0.4809 0.4809 0.1598
O9 O 0.4986 0.0459 0.1476
O10 O 0.5264 0.5264 0.6391
O11 O 0.5390 0.9645 0.6473
O12 O 0.6580 0.1742 0.8989
O13 O 0.6761 0.6761 0.8900
O14 O 0.8300 0.3513 0.4015
O15 O 0.8347 0.8347 0.3906
O16 O 0.9645 0.5390 0.6473
```

Values from the calculation:
- DFT formation energy: -1.856 eV/atom
- Space group: Cm (8)
- M_tot: 0.536 μB per atom
- Theoretical density: 4.49 g/cm³
- Crystal system: monoclinic

[6]
# Li4Fe3Co3W2O16

A relaxed Li4Fe3Co3W2O16 crystal (GGA+U, the Materials Project database).

```
data_Li4Fe3Co3W2O16
_chemical_formula_sum 'Li4 Fe3 Co3 W2 O16'
_space_group_name_H-M_alt 'P 1'
_space_group_IT_number 1
_cell_length_a 5.9383
_cell_length_b 5.9405
_cell_length_c 9.7882
_cell_angle_alpha 89.11
_cell_angle_beta 89.03
_cell_angle_gamma 60.24
loop_
_space_group_symop_operation_xyz
'x,y,z'
loop_
_atom_site_label
_atom_site_type_symbol
_atom_site_fract_x
_atom_site_fract_y
_atom_site_fract_z
Li1 Li 0.0000 0.0000 0.0000
Li2 Li 0.0007 0.9940 0.4966
Li3 Li 0.3242 0.3186 0.0775
Li4 Li 0.6613 0.6596 0.5751
Fe1 Fe 0.1641 0.6515 0.7716
Fe2 Fe 0.6551 0.1600 0.7701
Fe3 Fe 0.8223 0.8268 0.2664
Co1 Co 0.1675 0.1650 0.7719
Co2 Co 0.3377 0.8218 0.2743
Co3 Co 0.8198 0.3372 0.2730
W1 W 0.3265 0.3300 0.4983
W2 W 0.6530 0.6537 0.0007
O1 O 0.0350 0.4888 0.6313
O2 O 0.1724 0.1725 0.4046
O3 O 0.1752 0.6529 0.3943
O4 O 0.3355 0.3300 0.8772
O5 O 0.3432 0.8160 0.8983
O6 O 0.4799 0.4753 0.6385
O7 O 0.4904 0.0330 0.6302
O8 O 0.5167 0.5002 0.1279
O9 O 0.5189 0.9504 0.1363
O10 O 0.6594 0.1712 0.3932
O11 O 0.6657 0.6514 0.3706
O12 O 0.8236 0.3408 0.8976
O13 O 0.8285 0.8199 0.9003
O14 O 0.9544 0.5091 0.1422
O15 O 0.9968 0.9922 0.6846
O16 O 0.9987 0.0051 0.1889
```

Values from the calculation:
- DFT formation energy: -1.878 eV/atom
- Space group: P1 (1)
- M_tot: 0.893 μB per atom
- Theoretical density: 5.52 g/cm³
- Crystal system: triclinic

[7]
# Lu2FeCoO6

A relaxed Lu2FeCoO6 crystal (GGA+U, the Materials Project database).

```
data_Lu2FeCoO6
_chemical_formula_sum 'Lu4 Fe2 Co2 O12'
_space_group_name_H-M_alt 'P 1'
_space_group_IT_number 1
_cell_length_a 5.1907
_cell_length_b 5.5596
_cell_length_c 7.5058
_cell_angle_alpha 90.09
_cell_angle_beta 90.72
_cell_angle_gamma 91.13
loop_
_space_group_symop_operation_xyz
'x,y,z'
loop_
_atom_site_label
_atom_site_type_symbol
_atom_site_fract_x
_atom_site_fract_y
_atom_site_fract_z
Lu1 Lu 0.0231 0.4260 0.2506
Lu2 Lu 0.4757 0.9220 0.2525
Lu3 Lu 0.5243 0.0780 0.7475
Lu4 Lu 0.9769 0.5740 0.7494
Fe1 Fe 0.0000 0.0000 0.5000
Fe2 Fe 0.5000 0.5000 0.0000
Co1 Co 0.0000 0.0000 0.0000
Co2 Co 0.5000 0.5000 0.5000
O1 O 0.1215 0.9556 0.7525
O2 O 0.1947 0.6868 0.0638
O3 O 0.1976 0.6925 0.4387
O4 O 0.3048 0.1880 0.0610
O5 O 0.3145 0.1995 0.4387
O6 O 0.3752 0.4544 0.7429
O7 O 0.6248 0.5456 0.2571
O8 O 0.6855 0.8005 0.5613
O9 O 0.6952 0.8120 0.9390
O10 O 0.8024 0.3075 0.5613
O11 O 0.8053 0.3132 0.9362
O12 O 0.8785 0.0444 0.2475
```

Values from the calculation:
- DFT formation energy: -2.785 eV/atom
- Space group: P-1 (2)
- M_tot: 0.500 μB per atom
- Theoretical density: 8.60 g/cm³
- Crystal system: triclinic

[8]
# Mg14FeCoO16

A relaxed Mg14FeCoO16 crystal (GGA+U, the Materials Project database).

```
data_Mg14FeCoO16
_chemical_formula_sum 'Mg14 Fe1 Co1 O16'
_space_group_name_H-M_alt 'P 1'
_space_group_IT_number 1
_cell_length_a 8.5506
_cell_length_b 8.5506
_cell_length_c 4.2461
_cell_angle_alpha 90.00
_cell_angle_beta 90.00
_cell_angle_gamma 90.00
loop_
_space_group_symop_operation_xyz
'x,y,z'
loop_
_atom_site_label
_atom_site_type_symbol
_atom_site_fract_x
_atom_site_fract_y
_atom_site_fract_z
Mg1 Mg 0.0000 0.2482 0.0000
Mg2 Mg 0.0000 0.5000 0.5000
Mg3 Mg 0.0000 0.7518 0.0000
Mg4 Mg 0.2467 0.2467 0.5000
Mg5 Mg 0.2467 0.7533 0.5000
Mg6 Mg 0.2482 0.0000 0.0000
Mg7 Mg 0.2477 0.5000 0.0000
Mg8 Mg 0.5000 0.0000 0.5000
Mg9 Mg 0.5000 0.2477 0.0000
Mg10 Mg 0.5000 0.7523 0.0000
Mg11 Mg 0.7518 0.0000 0.0000
Mg12 Mg 0.7523 0.5000 0.0000
Mg13 Mg 0.7533 0.2467 0.5000
Mg14 Mg 0.7533 0.7533 0.5000
Fe1 Fe 0.5000 0.5000 0.5000
Co1 Co 0.0000 0.0000 0.5000
O1 O 0.0000 0.0000 0.0000
O2 O 0.0000 0.2583 0.5000
O3 O 0.0000 0.5000 0.0000
O4 O 0.0000 0.7417 0.5000
O5 O 0.2505 0.2505 0.0000
O6 O 0.2505 0.7495 0.0000
O7 O 0.2514 0.5000 0.5000
O8 O 0.2583 0.0000 0.5000
O9 O 0.5000 0.0000 0.0000
O10 O 0.5000 0.2514 0.5000
O11 O 0.5000 0.5000 0.0000
O12 O 0.5000 0.7486 0.5000
O13 O 0.7417 0.0000 0.5000
O14 O 0.7486 0.5000 0.5000
O15 O 0.7495 0.2505 0.0000
O16 O 0.7495 0.7495 0.0000
```

Values from the calculation:
- DFT formation energy: -2.793 eV/atom
- Space group: P4/mmm (123)
- M_tot: 0.219 μB per atom
- Theoretical density: 3.80 g/cm³
- Crystal system: tetragonal